3
Lattice="-2.167 0.353 4.384 -4.889 -0.153 0.337 -2.200 -3.914 1.969" Properties=species:S:1:pos:R:3 comment="PBE-GGA BaZrNi, optimized geometry" ef_ev_per_atom=0.67 energy_ev_per_atom=-4.741 vol_a3_per_atom=27.8 crystal_system=cubic rho_g_cm3=5.7 pbc="T T T"
Ba -4.628 -1.857 3.345
Zr 0.000 0.000 0.000
Ni -6.942 -2.786 5.017